# Na3PH16S4O8

A geometry-optimized Na3PH16S4O8 structure (PBE, Materials Project).

Cell: 12.9570 8.6962 13.5974 Å, 76.51 90.00 90.00°
Closest atoms and distances in Å follow each position.
Fractional positions:
O1 0.5730 0.5337 0.5896  2 H 0.99
O2 0.6122 0.0952 0.9991  2 H 0.99
O3 0.5159 0.8610 0.2513  2 H 0.99
O4 0.2344 0.2114 0.3484  2 H 0.99
O5 0.9270 0.5337 0.0896  2 H 0.99
O6 0.8878 0.0952 0.4991  2 H 0.99
O7 0.4270 0.4663 0.4104  2 H 0.99
O8 0.9595 0.4106 0.3528  2 H 0.98-1.00
O9 0.3454 0.1500 0.5333  2 H 0.99
O10 0.7344 0.7886 0.1516  2 H 0.99
O11 0.0405 0.5894 0.6472  2 H 0.98-1.00
O12 0.6546 0.8500 0.4667  2 H 0.99
O13 0.1047 0.8016 0.9610  2 H 0.98-0.99
O14 0.4024 0.2604 0.0678  2 H 0.97-0.99
O15 0.1546 0.1500 0.0333  2 H 0.99
O16 0.8454 0.8500 0.9667  2 H 0.99
O17 0.1122 0.9048 0.5009  2 H 0.99
O18 0.0159 0.1390 0.2487  2 H 0.99
O19 0.8953 0.1984 0.0390  2 H 0.98-0.99
O20 0.9024 0.7396 0.4322  2 H 0.97-0.99
O21 0.5976 0.7396 0.9322  2 H 0.97-0.99
O22 0.4595 0.5894 0.1472  2 H 0.98-1.00
O23 0.3953 0.8016 0.4610  2 H 0.98-0.99
O24 0.6047 0.1984 0.5390  2 H 0.98-0.99
O25 0.7656 0.7886 0.6516  2 H 0.99
O26 0.9841 0.8610 0.7513  2 H 0.99
O27 0.3878 0.9048 0.0009  2 H 0.99
O28 0.2656 0.2114 0.8484  2 H 0.99
O29 0.5405 0.4106 0.8528  2 H 0.98-1.00
O30 0.0976 0.2604 0.5678  2 H 0.97-0.99
O31 0.0730 0.4663 0.9104  2 H 0.99
O32 0.4841 0.1390 0.7487  2 H 0.99
S1 0.7331 0.0882 0.7857  1 P 2.07, 2 H 2.19-2.31
S2 0.2124 0.5578 0.1624  1 P 2.06, 1 H 2.23
S3 0.5195 0.2183 0.2831  1 P 2.08, 3 H 2.26-2.32
S4 0.4805 0.7817 0.7169  1 P 2.08, 3 H 2.26-2.32
S5 0.2331 0.9118 0.7143  1 P 2.07, 2 H 2.19-2.31
S6 0.2669 0.9118 0.2143  1 P 2.07, 2 H 2.19-2.31
S7 0.7669 0.0882 0.2857  1 P 2.07, 2 H 2.19-2.31
S8 0.7124 0.4422 0.3376  1 P 2.06, 1 H 2.23
S9 0.1911 0.6114 0.3985  1 P 2.04
S10 0.2876 0.5578 0.6624  1 P 2.06, 1 H 2.23
S11 0.6911 0.3886 0.1015  1 P 2.04
S12 0.0195 0.7817 0.2169  1 P 2.08, 3 H 2.26-2.32
S13 0.7876 0.4422 0.8376  1 P 2.06, 1 H 2.23
S14 0.8089 0.3886 0.6015  1 P 2.04
S15 0.3089 0.6114 0.8985  1 P 2.04
S16 0.9805 0.2183 0.7831  1 P 2.08, 3 H 2.26-2.32
H1 0.1703 0.2808 0.5783  1 O 0.97
H2 0.1383 0.7297 0.0195  1 O 0.99
H3 0.3297 0.2808 0.0783  1 O 0.97
H4 0.7410 0.8702 0.1908  1 O 0.99
H5 0.0562 0.3893 0.8696  1 O 0.99
H6 0.3060 0.1705 0.4692  1 O 0.99
H7 0.8073 0.9325 0.9170  1 O 0.99
H8 0.3832 0.5902 0.1559  1 O 1.00
H9 0.9438 0.6107 0.1304  1 O 0.99
H10 0.4400 0.8553 0.2439  1 O 0.99
H11 0.2590 0.1298 0.8092  1 O 0.99
H12 0.2410 0.1298 0.3092  1 O 0.99
H13 0.8617 0.1770 0.5327  1 O 0.99
H14 0.6451 0.4986 0.6051  1 O 0.99
H15 0.5562 0.6107 0.6304  1 O 0.99
H16 0.6703 0.7192 0.9217  1 O 0.97
H17 0.3427 0.8977 0.0605  1 O 0.99
H18 0.1383 0.8230 0.4673  1 O 0.99
H19 0.8549 0.4986 0.1051  1 O 0.99
H20 0.7332 0.6858 0.2015  1 O 0.99
H21 0.8060 0.8295 0.0308  1 O 0.99
H22 0.8297 0.7192 0.4217  1 O 0.97
H23 0.0600 0.8553 0.7439  1 O 0.99
H24 0.0656 0.2337 0.6362  1 O 0.99
H25 0.9829 0.5034 0.3014  1 O 0.98
H26 0.2332 0.3142 0.2985  1 O 0.99
H27 0.9729 0.9695 0.7608  1 O 0.99
H28 0.4729 0.0305 0.7392  1 O 0.99
H29 0.6940 0.8295 0.5308  1 O 0.99
H30 0.4829 0.4966 0.1986  1 O 0.98
H31 0.3617 0.8230 0.9673  1 O 0.99
H32 0.9344 0.7663 0.3638  1 O 0.99
H33 0.5271 0.9695 0.2608  1 O 0.99
H34 0.0271 0.0305 0.2392  1 O 0.99
H35 0.1168 0.5902 0.6559  1 O 1.00
H36 0.1558 0.8103 0.9066  1 O 0.98
H37 0.7590 0.8702 0.6908  1 O 0.99
H38 0.4438 0.3893 0.3696  1 O 0.99
H39 0.6573 0.1023 0.9395  1 O 0.99
H40 0.0171 0.4966 0.6986  1 O 0.98
H41 0.3549 0.5014 0.3949  1 O 0.99
H42 0.2668 0.3142 0.7985  1 O 0.99
H43 0.1573 0.8977 0.5605  1 O 0.99
H44 0.8442 0.1897 0.0934  1 O 0.98
H45 0.1940 0.1705 0.9692  1 O 0.99
H46 0.9400 0.1447 0.2561  1 O 0.99
H47 0.6383 0.2703 0.4805  1 O 0.99
H48 0.7668 0.6858 0.7015  1 O 0.99
H49 0.5600 0.1447 0.7561  1 O 0.99
H50 0.3073 0.0675 0.5830  1 O 0.99
H51 0.6927 0.9325 0.4170  1 O 0.99
H52 0.6168 0.4098 0.8441  1 O 1.00
H53 0.8617 0.2703 0.9805  1 O 0.99
H54 0.3617 0.7297 0.5195  1 O 0.99
H55 0.6383 0.1770 0.0327  1 O 0.99
H56 0.1927 0.0675 0.0830  1 O 0.99
H57 0.3442 0.8103 0.4066  1 O 0.98
H58 0.8427 0.1023 0.4395  1 O 0.99
H59 0.5171 0.5034 0.8014  1 O 0.98
H60 0.1451 0.5014 0.8949  1 O 0.99
H61 0.4344 0.2337 0.1362  1 O 0.99
H62 0.6558 0.1897 0.5934  1 O 0.98
H63 0.5656 0.7663 0.8638  1 O 0.99
H64 0.8832 0.4098 0.3441  1 O 1.00
Na1 0.0495 0.3350 0.0907  5 O 2.34-2.51
Na2 0.5000 0.0000 0.5000  4 O 2.35-2.49
Na3 0.0000 0.5000 0.5000  4 O 2.37-2.43
Na4 0.5581 0.8315 0.0831  6 O 2.42-2.49
Na5 0.5495 0.6650 0.4093  5 O 2.34-2.51
Na6 0.9419 0.8315 0.5831  6 O 2.42-2.49
Na7 0.4505 0.3350 0.5907  5 O 2.34-2.51
Na8 0.4419 0.1685 0.9169  6 O 2.42-2.49
Na9 0.9505 0.6650 0.9093  5 O 2.34-2.51
Na10 0.0000 0.0000 0.0000  4 O 2.35-2.49
Na11 0.0581 0.1685 0.4169  6 O 2.42-2.49
Na12 0.5000 0.5000 0.0000  4 O 2.37-2.43
P1 0.1720 0.7144 0.2486  4 S 2.04-2.08
P2 0.3280 0.7144 0.7486  4 S 2.04-2.08
P3 0.6720 0.2856 0.2514  4 S 2.04-2.08
P4 0.8280 0.2856 0.7514  4 S 2.04-2.08

The total energy is -4.74 eV per atom. The calculation puts the density at 1.66 g/cm³. For the formation energy, the calculation gives -1230 meV/atom.